The following is a PBE calculation of an optimized crystal structure of AuN2, from the Materials Project.

a b c (Å): 5.0530 6.1668 2.9479
angles (deg): 90.00 90.00 90.00
With the nearest neighbours (Å) after each atom.
Space group Pnnm (No. 58)
One atom of each set of equivalent atoms:
Au 0.0000 0.0000 0.0000 [2 per cell]  2 N 2.15
N 0.0825 0.4338 0.5000 [4 per cell]  1 N 1.17

Values from the calculation:
As for the total energy after the MP2020 corrections: -18.65 eV per formula unit. The formation energy comes out at 0.431 eV/atom.



The following is a PBE calculation of an optimized crystal structure of AuN2, from the Materials Project.

a b c (Å): 5.6440 5.6440 5.6440
angles (deg): 90.00 90.00 90.00
With the nearest neighbours (Å) after each atom.
Space group Pa-3 (No. 205)
One atom of each set of equivalent atoms:
Au 0.0000 0.0000 0.0000 [4 per cell]  6 N 2.53
N 0.0602 0.5602 0.9398 [8 per cell]  1 N 1.18

Values from the calculation:
As for the total energy after the MP2020 corrections: -18.05 eV per formula unit. The formation energy comes out at 0.634 eV/atom.



The following is a PBE calculation of an optimized crystal structure of Na3AuN2, from the Materials Project.

a b c (Å): 8.3388 8.3388 13.0373
angles (deg): 90.00 90.00 90.00
With the nearest neighbours (Å) after each atom.
Space group I4_1/amd (No. 141, origin choice 2)
One atom of each set of equivalent atoms:
Na 0.0000 0.2500 0.2561 [8 per cell]  2 N 2.26
Na 0.2214 0.0286 0.8750 [16 per cell]  4 N 2.65-2.71
Au 0.0000 0.2500 0.0275 [8 per cell]  2 N 1.93
N 0.0000 0.0189 0.7228 [16 per cell]  1 Au 1.93

Values from the calculation:
As for the total energy after the MP2020 corrections: -22.96 eV per formula unit. The formation energy comes out at 0.159 eV/atom.



The following is a PBE calculation of an optimized crystal structure of Sr3AuN3, from the Materials Project.

a b c (Å): 7.0477 5.3695 7.6191
angles (deg): 90.00 110.55 90.00
With the nearest neighbours (Å) after each atom.
Space group P2_1/m (No. 11)
One atom of each set of equivalent atoms:
Sr 0.0615 0.2500 0.3628 [2 per cell]  5 N 2.55-2.72
Sr 0.2924 0.2500 0.8917 [2 per cell]  5 N 2.48-2.71
Sr 0.4220 0.7500 0.6214 [2 per cell]  5 N 2.49-2.71
Au 0.2425 0.7500 0.1665 [2 per cell]  2 N 2.04-2.10
N 0.0900 0.7500 0.3581 [2 per cell]  1 Au 2.10
N 0.3022 0.7500 0.9226 [2 per cell]  1 Au 2.04
N 0.4094 0.2500 0.6210 [2 per cell]  1 Au 2.42, 5 Sr 2.48-2.69

Values from the calculation:
As for the total energy after the MP2020 corrections: -36.03 eV per formula unit. The formation energy comes out at -0.383 eV/atom.



The following is a PBE calculation of an optimized crystal structure of Na2Au, from the Materials Project.

a b c (Å): 7.4396 7.4396 5.6125
angles (deg): 90.00 90.00 90.00
With the nearest neighbours (Å) after each atom.
Space group I4/mcm (No. 140)
One atom of each set of equivalent atoms:
Na 0.1703 0.3297 0.0000 [8 per cell]  4 Au 3.10, 2 Na 3.27
Au 0.0000 0.0000 0.2500 [4 per cell]  2 Au 2.81, 8 Na 3.10

Values from the calculation:
The formation energy comes out at -0.283 eV/atom.



The following is a PBE calculation of an optimized crystal structure of NaAu2, from the Materials Project.

a b c (Å): 7.9671 7.9671 7.9671
angles (deg): 90.00 90.00 90.00
With the nearest neighbours (Å) after each atom.
Space group Fd-3m (No. 227, origin choice 2)
One atom of each set of equivalent atoms:
Na 0.1250 0.1250 0.1250 [8 per cell]  12 Au 3.30, 4 Na 3.45
Au 0.0000 0.0000 0.5000 [16 per cell]  6 Au 2.82

Values from the calculation:
The formation energy comes out at -0.383 eV/atom.



The following is a PBE calculation of an optimized crystal structure of Na3AuO3, from the Materials Project.

a b c (Å): 9.5738 9.5738 4.5625
angles (deg): 90.00 90.00 90.00
With the nearest neighbours (Å) after each atom.
Space group P4_2/mnm (No. 136)
One atom of each set of equivalent atoms:
Na 0.1197 0.3737 0.0000 [8 per cell]  3 O 2.29-2.34
Na 0.1470 0.1470 0.5000 [4 per cell]  4 O 2.29-2.36
Au 0.1164 0.8836 0.0000 [4 per cell]  4 O 2.03-2.09
O 0.1019 0.1019 0.0000 [4 per cell]  2 Au 2.09
O 0.1148 0.6720 0.0000 [8 per cell]  1 Au 2.03

Values from the calculation:
As for the total energy after the MP2020 corrections: -31.69 eV per formula unit. The formation energy comes out at -1.372 eV/atom.



The following is a PBE calculation of an optimized crystal structure of NaAu2O4, from the Materials Project.

a b c (Å): 6.1884 6.1884 5.6198
angles (deg): 90.00 90.00 90.00
With the nearest neighbours (Å) after each atom.
Space group P4_2/mmc (No. 131)
One atom of each set of equivalent atoms:
Na 0.0000 0.5000 0.0000 [2 per cell]  8 O 2.60
Au 0.0000 0.2328 0.5000 [4 per cell]  4 O 2.02
O 0.2350 0.2350 0.2500 [8 per cell]  2 Au 2.02

Values from the calculation:
As for the total energy after the MP2020 corrections: -32.68 eV per formula unit. The formation energy comes out at -0.717 eV/atom.